CeSe2: optimized geometry, PBE.

Results
As for the total energy: -5.903 eV per atom. The energy relative to the elements is -1.909 eV/atom.

CIF file:
```
data_CeSe2
_space_group_name_H-M_alt 'P n m a'
_space_group_IT_number 62
_cell_length_a 7.539
_cell_length_b 4.293
_cell_length_c 9.110
_cell_angle_alpha 90.00
_cell_angle_beta 90.00
_cell_angle_gamma 90.00
loop_
_space_group_symop_operation_xyz
'x,y,z'
'-x,-y,-z'
'-x+1/2,-y,z+1/2'
'x+1/2,y,-z+1/2'
'x+1/2,-y+1/2,-z+1/2'
'-x+1/2,y+1/2,z+1/2'
'-x,y+1/2,-z'
'x,-y+1/2,z'
loop_
_atom_site_label
_atom_site_type_symbol
_atom_site_fract_x
_atom_site_fract_y
_atom_site_fract_z
Ce1 Ce 0.247 0.250 0.131
Se1 Se 0.037 0.250 0.833
Se2 Se 0.138 0.250 0.437
```

---

IrPd: optimized geometry, PBE.

Results
As for the total energy: -6.899 eV per atom. The energy relative to the elements is 0.110 eV/atom.

CIF file:
```
data_IrPd
_space_group_name_H-M_alt 'R -3 m'
_space_group_IT_number 166
_space_group_name_Hall '-R 3 2"'
_cell_length_a 2.7595
_cell_length_b 2.7595
_cell_length_c 13.5108
_cell_angle_alpha 90.00
_cell_angle_beta 90.00
_cell_angle_gamma 120.00
loop_
_atom_site_label
_atom_site_type_symbol
_atom_site_fract_x
_atom_site_fract_y
_atom_site_fract_z
Ir1 Ir 0.0000 0.0000 0.0000
Pd1 Pd 0.0000 0.0000 0.5000
```

---

TiCrAs: optimized geometry, PBE.

Results
As for the total energy: -7.991 eV per atom. The energy relative to the elements is -0.588 eV/atom.

CIF file:
```
data_TiCrAs
_space_group_name_H-M_alt 'P -6 2 m'
_space_group_IT_number 189
_space_group_name_Hall 'P -6 -2'
_cell_length_a 6.6250
_cell_length_b 6.6250
_cell_length_c 3.3318
_cell_angle_alpha 90.00
_cell_angle_beta 90.00
_cell_angle_gamma 120.00
loop_
_atom_site_label
_atom_site_type_symbol
_atom_site_fract_x
_atom_site_fract_y
_atom_site_fract_z
Ti1 Ti 0.0000 0.4048 0.0000
Cr1 Cr 0.0000 0.7426 0.5000
As1 As 0.0000 0.0000 0.0000
As2 As 0.3333 0.6667 0.5000
```

---

Li47Mn5As19: optimized geometry, PBE.

Results
As for the total energy: -3.756 eV per atom. The energy relative to the elements is -0.600 eV/atom.

CIF file:
```
data_Li47Mn5As19
_space_group_name_H-M_alt 'R 3 m'
_space_group_IT_number 160
_space_group_name_Hall 'R 3 -2"'
_cell_length_a 4.3172
_cell_length_b 4.3172
_cell_length_c 201.2981
_cell_angle_alpha 90.00
_cell_angle_beta 90.00
_cell_angle_gamma 120.00
loop_
_atom_site_label
_atom_site_type_symbol
_atom_site_fract_x
_atom_site_fract_y
_atom_site_fract_z
Li1 Li 0.0000 0.0000 0.0000
Li2 Li 0.0000 0.0000 0.0134
Li3 Li 0.0000 0.0000 0.0264
Li4 Li 0.0000 0.0000 0.0786
Li5 Li 0.0000 0.0000 0.1307
Li6 Li 0.0000 0.0000 0.1579
Li7 Li 0.0000 0.0000 0.1708
Li8 Li 0.0000 0.0000 0.1841
Li9 Li 0.0000 0.0000 0.2105
Li10 Li 0.0000 0.0000 0.2234
Li11 Li 0.0000 0.0000 0.2367
Li12 Li 0.0000 0.0000 0.2629
Li13 Li 0.0000 0.0000 0.2755
Li14 Li 0.0000 0.0000 0.2891
Li15 Li 0.0000 0.0000 0.3158
Li16 Li 0.0000 0.0000 0.3291
Li17 Li 0.0000 0.0000 0.3421
Li18 Li 0.0000 0.0000 0.3695
Li19 Li 0.0000 0.0000 0.3945
Li20 Li 0.0000 0.0000 0.4479
Li21 Li 0.0000 0.0000 0.4736
Li22 Li 0.0000 0.0000 0.4866
Li23 Li 0.0000 0.0000 0.4999
Li24 Li 0.0000 0.0000 0.5262
Li25 Li 0.0000 0.0000 0.5392
Li26 Li 0.0000 0.0000 0.5525
Li27 Li 0.0000 0.0000 0.5789
Li28 Li 0.0000 0.0000 0.5919
Li29 Li 0.0000 0.0000 0.6053
Li30 Li 0.0000 0.0000 0.6316
Li31 Li 0.0000 0.0000 0.6449
Li32 Li 0.0000 0.0000 0.6579
Li33 Li 0.0000 0.0000 0.6843
Li34 Li 0.0000 0.0000 0.6978
Li35 Li 0.0000 0.0000 0.7109
Li36 Li 0.0000 0.0000 0.7628
Li37 Li 0.0000 0.0000 0.7890
Li38 Li 0.0000 0.0000 0.8021
Li39 Li 0.0000 0.0000 0.8157
Li40 Li 0.0000 0.0000 0.8421
Li41 Li 0.0000 0.0000 0.8550
Li42 Li 0.0000 0.0000 0.8683
Li43 Li 0.0000 0.0000 0.8947
Li44 Li 0.0000 0.0000 0.9076
Li45 Li 0.0000 0.0000 0.9209
Li46 Li 0.0000 0.0000 0.9612
Li47 Li 0.0000 0.0000 0.9738
Mn1 Mn 0.0000 0.0000 0.0522
Mn2 Mn 0.0000 0.0000 0.1050
Mn3 Mn 0.0000 0.0000 0.4207
Mn4 Mn 0.0000 0.0000 0.7363
Mn5 Mn 0.0000 0.0000 0.9475
As1 As 0.0000 0.0000 0.0395
As2 As 0.0000 0.0000 0.0917
As3 As 0.0000 0.0000 0.1449
As4 As 0.0000 0.0000 0.1975
As5 As 0.0000 0.0000 0.2501
As6 As 0.0000 0.0000 0.3024
As7 As 0.0000 0.0000 0.3553
As8 As 0.0000 0.0000 0.4076
As9 As 0.0000 0.0000 0.4609
As10 As 0.0000 0.0000 0.5133
As11 As 0.0000 0.0000 0.5659
As12 As 0.0000 0.0000 0.6182
As13 As 0.0000 0.0000 0.6709
As14 As 0.0000 0.0000 0.7237
As15 As 0.0000 0.0000 0.7756
As16 As 0.0000 0.0000 0.8291
As17 As 0.0000 0.0000 0.8817
As18 As 0.0000 0.0000 0.9343
As19 As 0.0000 0.0000 0.9866
```

---

The highest energy relative to the elements belongs to which entry? IrPd

---

Which value of energy relative to the elements does entry 4 give? -0.600 eV/atom

---

energy relative to the elements of number 4 (Li47Mn5As19)? -0.600 eV/atom

---

Which of these has the highest energy relative to the elements? IrPd